A plane-wave DFT calculation with PBE+U was carried out for a geometry-optimized Na2W2O5 structure.

Calculated values
mass density: 6.41 Mg/m³
final energy: -6.40 eV per atom
E above lowest polymorph: 0.0000 eV/atom
DFT formation energy: -178.3 kJ/mol of atoms

extended XYZ file:
```
18
Lattice="5.6093 0.0000 0.0000 -0.0975 5.8110 0.0000 -2.7331 -2.8488 7.8428" Properties=species:S:1:pos:R:3 pbc="T T T"
Na 0.0000 0.0000 0.0000
Na -0.2564 -0.0921 3.4152
Na -0.2205 0.0515 7.6960
Na 2.7578 2.7831 3.2504
W -0.1947 2.8165 1.6536
W 0.6270 2.9925 5.5376
W 2.6560 -0.0976 1.5951
W 2.0519 -0.3748 5.5447
O 0.0180 3.0396 3.6492
O 1.0674 4.2384 1.2833
O 1.3039 1.4376 1.5607
O 0.5556 0.9154 5.5265
O 0.0357 2.9908 7.4219
O 2.3703 -0.2693 3.6545
O 2.5714 3.3516 5.5247
O 3.9289 4.2011 1.7106
O 4.1624 1.3505 1.9181
O 2.3733 -0.2806 7.4314
```